# 1
The following is a DFT calculation (PBE-GGA) of a relaxed structure of P2H12RhC4O4.

```
data_P2H12RhC4O4
_chemical_formula_sum 'P16 H96 Rh8 C32 O32'
_cell_length_a 18.3657
_cell_length_b 11.8390
_cell_length_c 9.7935
_cell_angle_alpha 90.00
_cell_angle_beta 99.35
_cell_angle_gamma 90.00
_symmetry_space_group_name_H-M 'C 1 2/c 1'
_symmetry_Int_Tables_number 15
_symmetry_space_group_name_Hall '-C 2yc'
loop_
_atom_site_label
_atom_site_type_symbol
_atom_site_fract_x
_atom_site_fract_y
_atom_site_fract_z
_atom_site_occupancy
P1 P 0.0000 0.1377 0.2500 1
P2 P 0.0000 0.3454 0.7500 1
P3 P 0.1556 0.1066 0.8219 1
H1 H 0.0475 0.4986 0.3976 1
H2 H 0.0607 0.2883 0.1505 1
H3 H 0.0923 0.2759 0.3342 1
H4 H 0.0975 0.4847 0.7571 1
H5 H 0.1128 0.3886 0.9009 1
H6 H 0.1228 0.1779 0.2140 1
H7 H 0.1801 0.0656 0.4505 1
H8 H 0.1864 0.2844 0.7295 1
H9 H 0.2431 0.3184 0.2762 1
H10 H 0.2465 0.0434 0.3362 1
H11 H 0.2474 0.4655 0.0058 1
H12 H 0.2492 0.2491 0.1170 1
Rh1 Rh 0.0059 0.1058 0.6256 1
C1 C 0.0715 0.4393 0.8343 1
C2 C 0.0768 0.2293 0.2368 1
C3 C 0.2145 0.0032 0.4082 1
C4 C 0.2185 0.2170 0.7876 1
O1 O 0.0198 0.0666 0.3845 1
O2 O 0.0326 0.2774 0.6394 1
O3 O 0.1055 0.1536 0.9210 1
O4 O 0.1161 0.0599 0.6822 1
```

The formation energy from the elements comes out at -702 meV/atom. The total energy is -5.6095 eV/atom.

***

# 2
The following is a DFT calculation (PBE-GGA) of a relaxed structure of NaCeC2O6.

```
data_NaCeC2O6
_chemical_formula_sum 'Na2 Ce2 C4 O12'
_cell_length_a 5.1995
_cell_length_b 6.4493
_cell_length_c 7.1993
_cell_angle_alpha 90.00
_cell_angle_beta 90.00
_cell_angle_gamma 90.00
_symmetry_space_group_name_H-M 'P m c 21'
_symmetry_Int_Tables_number 26
_symmetry_space_group_name_Hall 'P 2c -2'
loop_
_atom_site_label
_atom_site_type_symbol
_atom_site_fract_x
_atom_site_fract_y
_atom_site_fract_z
_atom_site_occupancy
Na1 Na 0.0000 0.0176 0.0000 1
Ce1 Ce 0.5000 0.3696 0.2983 1
C1 C 0.0000 0.4640 0.9704 1
C2 C 0.5000 0.0808 0.7153 1
O1 O 0.0000 0.3586 0.3875 1
O2 O 0.2191 0.3749 0.0062 1
O3 O 0.2879 0.0157 0.2526 1
O4 O 0.5000 0.2634 0.6375 1
```

The formation energy from the elements comes out at -2503 meV/atom. The total energy is -7.6308 eV/atom.

***

# 3
The following is a DFT calculation (PBE-GGA) of a relaxed structure of NaCa6TiSi4O18.

```
data_NaCa6TiSi4O18
_chemical_formula_sum 'Na1 Ca6 Ti1 Si4 O18'
_cell_length_a 5.7076
_cell_length_b 7.6024
_cell_length_c 9.8144
_cell_angle_alpha 78.44
_cell_angle_beta 79.60
_cell_angle_gamma 89.73
_symmetry_space_group_name_H-M 'P -1'
_symmetry_Int_Tables_number 2
_symmetry_space_group_name_Hall '-P 1'
loop_
_atom_site_label
_atom_site_type_symbol
_atom_site_fract_x
_atom_site_fract_y
_atom_site_fract_z
_atom_site_occupancy
Na1 Na 0.0000 0.0000 0.0000 1
Ca1 Ca 0.1960 0.9028 0.3752 1
Ca2 Ca 0.2129 0.4119 0.3584 1
Ca3 Ca 0.4951 0.7011 0.0126 1
Ti1 Ti 0.0000 0.5000 0.0000 1
Si1 Si 0.2462 0.2773 0.7271 1
Si2 Si 0.2557 0.8530 0.7206 1
O1 O 0.0748 0.8287 0.6133 1
O2 O 0.0833 0.3629 0.6121 1
O3 O 0.1626 0.3255 0.8851 1
O4 O 0.1743 0.0543 0.7614 1
O5 O 0.1972 0.7122 0.8748 1
O6 O 0.2455 0.4642 0.1109 1
O7 O 0.3986 0.9904 0.0512 1
O8 O 0.4617 0.1472 0.3428 1
O9 O 0.4661 0.6868 0.3166 1
```

The formation energy from the elements comes out at -2914 meV/atom. The total energy is -7.2183 eV/atom.

***

# 4
The following is a DFT calculation (PBE-GGA) of a relaxed structure of MgMoWS4.

```
data_MgMoWS4
_chemical_formula_sum 'Mg1 Mo1 W1 S4'
_cell_length_a 3.1931
_cell_length_b 3.1931
_cell_length_c 28.6947
_cell_angle_alpha 90.00
_cell_angle_beta 90.00
_cell_angle_gamma 120.00
_symmetry_space_group_name_H-M 'P 3 m 1'
_symmetry_Int_Tables_number 156
_symmetry_space_group_name_Hall 'P 3 -2"'
loop_
_atom_site_label
_atom_site_type_symbol
_atom_site_fract_x
_atom_site_fract_y
_atom_site_fract_z
_atom_site_occupancy
Mg1 Mg 0.0000 0.0000 0.0000 1
Mo1 Mo 0.3333 0.6667 0.8517 1
W1 W 0.6667 0.3333 0.1716 1
S1 S 0.3333 0.6667 0.1167 1
S2 S 0.3333 0.6667 0.2264 1
S3 S 0.6667 0.3333 0.7975 1
S4 S 0.6667 0.3333 0.9069 1
```

The formation energy from the elements comes out at -949 meV/atom. The total energy is -6.6545 eV/atom. Its energy above the most stable polymorph in this dataset is 0.122 eV per formula unit.

***

# 5
The following is a DFT calculation (PBE-GGA) of a relaxed structure of SmErRh2.

```
data_SmErRh2
_chemical_formula_sum 'Sm4 Er4 Rh8'
_cell_length_a 6.9117
_cell_length_b 6.9117
_cell_length_c 6.9117
_cell_angle_alpha 90.00
_cell_angle_beta 90.00
_cell_angle_gamma 90.00
_symmetry_space_group_name_H-M 'F m -3 m'
_symmetry_Int_Tables_number 225
_symmetry_space_group_name_Hall '-F 4 2 3'
loop_
_atom_site_label
_atom_site_type_symbol
_atom_site_fract_x
_atom_site_fract_y
_atom_site_fract_z
_atom_site_occupancy
Sm1 Sm 0.0000 0.0000 0.0000 1
Er1 Er 0.0000 0.0000 0.5000 1
Rh1 Rh 0.2500 0.2500 0.2500 1
```

The formation energy from the elements comes out at -817 meV/atom. The total energy is -6.8205 eV/atom.

***

# 6
The following is a DFT calculation (PBE-GGA) of a relaxed structure of AgBiTe2.

```
data_AgBiTe2
_chemical_formula_sum 'Ag3 Bi3 Te6'
_cell_length_a 4.4228
_cell_length_b 4.4228
_cell_length_c 21.3943
_cell_angle_alpha 90.00
_cell_angle_beta 90.00
_cell_angle_gamma 120.00
_symmetry_space_group_name_H-M 'P -3 m 1'
_symmetry_Int_Tables_number 164
_symmetry_space_group_name_Hall '-P 3 2"'
loop_
_atom_site_label
_atom_site_type_symbol
_atom_site_fract_x
_atom_site_fract_y
_atom_site_fract_z
_atom_site_occupancy
Ag1 Ag 0.0000 0.0000 0.0000 1
Ag2 Ag 0.3333 0.6667 0.1383 1
Bi1 Bi 0.0000 0.0000 0.5000 1
Bi2 Bi 0.3333 0.6667 0.6891 1
Te1 Te 0.0000 0.0000 0.2282 1
Te2 Te 0.3333 0.6667 0.4122 1
Te3 Te 0.3333 0.6667 0.9202 1
```

The formation energy from the elements comes out at -283 meV/atom. The total energy is -3.3247 eV/atom.

***

# 7
The following is a DFT calculation (PBE-GGA) of a relaxed structure of LuRu2.

```
data_LuRu2
_chemical_formula_sum 'Lu4 Ru8'
_cell_length_a 5.2326
_cell_length_b 5.2326
_cell_length_c 8.8131
_cell_angle_alpha 90.00
_cell_angle_beta 90.00
_cell_angle_gamma 120.00
_symmetry_space_group_name_H-M 'P 63/m m c'
_symmetry_Int_Tables_number 194
_symmetry_space_group_name_Hall '-P 6c 2c'
loop_
_atom_site_label
_atom_site_type_symbol
_atom_site_fract_x
_atom_site_fract_y
_atom_site_fract_z
_atom_site_occupancy
Lu1 Lu 0.3333 0.6667 0.0668 1
Ru1 Ru 0.0000 0.0000 0.0000 1
Ru2 Ru 0.1716 0.3432 0.7500 1
```

The formation energy from the elements comes out at -402 meV/atom. The total energy is -8.0923 eV/atom.

***

# 8
The following is a DFT calculation (PBE-GGA) of a relaxed structure of Er6Al43W4.

```
data_Er6Al43W4
_chemical_formula_sum 'Er12 Al86 W8'
_cell_length_a 11.0498
_cell_length_b 11.0498
_cell_length_c 17.5802
_cell_angle_alpha 90.00
_cell_angle_beta 90.00
_cell_angle_gamma 120.00
_symmetry_space_group_name_H-M 'P 63/m c m'
_symmetry_Int_Tables_number 193
_symmetry_space_group_name_Hall '-P 6c 2'
loop_
_atom_site_label
_atom_site_type_symbol
_atom_site_fract_x
_atom_site_fract_y
_atom_site_fract_z
_atom_site_occupancy
Er1 Er 0.0000 0.4686 0.0956 1
Al1 Al 0.0000 0.1477 0.7500 1
Al2 Al 0.0000 0.1597 0.1146 1
Al3 Al 0.0000 0.2548 0.5305 1
Al4 Al 0.1470 0.5516 0.2500 1
Al5 Al 0.1582 0.3950 0.6634 1
Al6 Al 0.2469 0.4938 0.0000 1
Al7 Al 0.3333 0.6667 0.1260 1
W1 W 0.0000 0.0000 0.0000 1
W2 W 0.0000 0.2712 0.2500 1
```

The formation energy from the elements comes out at -270 meV/atom. The total energy is -4.8040 eV/atom.

***

# 9
The following is a DFT calculation (PBE-GGA) of a relaxed structure of Dy2TiCuO6.

```
data_Dy2TiCuO6
_chemical_formula_sum 'Dy2 Ti1 Cu1 O6'
_cell_length_a 3.6379
_cell_length_b 3.6379
_cell_length_c 11.3681
_cell_angle_alpha 90.00
_cell_angle_beta 90.00
_cell_angle_gamma 120.00
_symmetry_space_group_name_H-M 'P -6 m 2'
_symmetry_Int_Tables_number 187
_symmetry_space_group_name_Hall 'P -6 2'
loop_
_atom_site_label
_atom_site_type_symbol
_atom_site_fract_x
_atom_site_fract_y
_atom_site_fract_z
_atom_site_occupancy
Dy1 Dy 0.0000 0.0000 0.2261 1
Ti1 Ti 0.6667 0.3333 0.5000 1
Cu1 Cu 0.3333 0.6667 0.0000 1
O1 O 0.0000 0.0000 0.0000 1
O2 O 0.0000 0.0000 0.5000 1
O3 O 0.3333 0.6667 0.1688 1
O4 O 0.6667 0.3333 0.3358 1
```

The formation energy from the elements comes out at -3121 meV/atom. The total energy is -7.7981 eV/atom.

***

# 10
The following is a DFT calculation (PBE-GGA) of a relaxed structure of TiTc2Mo.

```
data_TiTc2Mo
_chemical_formula_sum 'Ti4 Tc8 Mo4'
_cell_length_a 6.2324
_cell_length_b 6.2324
_cell_length_c 6.2324
_cell_angle_alpha 90.00
_cell_angle_beta 90.00
_cell_angle_gamma 90.00
_symmetry_space_group_name_H-M 'F m -3 m'
_symmetry_Int_Tables_number 225
_symmetry_space_group_name_Hall '-F 4 2 3'
loop_
_atom_site_label
_atom_site_type_symbol
_atom_site_fract_x
_atom_site_fract_y
_atom_site_fract_z
_atom_site_occupancy
Ti1 Ti 0.0000 0.0000 0.0000 1
Tc1 Tc 0.2500 0.2500 0.2500 1
Mo1 Mo 0.0000 0.0000 0.5000 1
```

The formation energy from the elements comes out at -346 meV/atom. The total energy is -10.2119 eV/atom.